VASP calculation (r2SCAN) on a geometry-optimized TlPPt5 structure.

Unit cell a=3.9757 b=3.9757 c=7.1538 alpha=90.00 beta=90.00 gamma=90.00
Closest atoms and distances in Å follow each position.
Space group P4/mmm (No. 123)
Unique sites:
Tl 0.0000 0.0000 0.0000 [1 per cell]  12 Pt 2.81-2.94
P 0.5000 0.5000 0.5000 [1 per cell]  8 Pt 2.44
Pt 0.0000 0.5000 0.3030 [4 per cell]  2 P 2.44
Pt 0.5000 0.5000 0.0000 [1 per cell]  4 Tl 2.81, 8 Pt 2.94

Summary:
Size of the total moment = 0.00 μB/cell
E_form = -0.287 eV per atom